DFT (GGA+U) results for crystalline Mn3P2O15 at its relaxed geometry.

Lattice parameters (Å, degrees): 11.5584 12.7437 7.9578 90.00 107.94 90.00
Atoms (fractional coordinates):
Mn 0.0003 0.1236 0.0519
Mn 0.0003 0.3764 0.5519
Mn 0.9997 0.6236 0.4481
Mn 0.9997 0.8764 0.9481
Mn 0.0009 0.1215 0.4252
Mn 0.0009 0.3785 0.9252
Mn 0.3307 0.1314 0.5714
Mn 0.3307 0.3686 0.0714
Mn 0.6693 0.6314 0.9286
Mn 0.6693 0.8686 0.4286
Mn 0.9991 0.6215 0.0748
Mn 0.9991 0.8785 0.5748
P 0.1762 0.5615 0.8370
P 0.1762 0.9385 0.3370
P 0.1788 0.2050 0.8243
P 0.1788 0.2950 0.3243
P 0.8212 0.7050 0.6757
P 0.8212 0.7950 0.1757
P 0.8238 0.0615 0.6630
P 0.8238 0.4385 0.1630
O 0.0607 0.7412 0.0145
O 0.0607 0.7588 0.5145
O 0.0839 0.5318 0.9450
O 0.0839 0.9682 0.4450
O 0.0914 0.5901 0.2993
O 0.0914 0.9099 0.7993
O 0.1010 0.5321 0.6372
O 0.1010 0.9679 0.1372
O 0.1027 0.1873 0.2829
O 0.1027 0.3127 0.7829
O 0.1223 0.1351 0.9327
O 0.1223 0.3649 0.4327
O 0.1731 0.1512 0.6450
O 0.1731 0.3488 0.1450
O 0.2154 0.6738 0.8598
O 0.2154 0.8262 0.3598
O 0.2808 0.0190 0.3972
O 0.2808 0.4810 0.8972
O 0.3105 0.2340 0.9197
O 0.3105 0.2660 0.4197
O 0.3389 0.6624 0.4602
O 0.3389 0.8376 0.9602
O 0.4434 0.0394 0.1739
O 0.4434 0.4606 0.6739
O 0.4462 0.5241 0.2906
O 0.4462 0.9759 0.7906
O 0.4784 0.6523 0.8843
O 0.4784 0.8477 0.3843
O 0.4923 0.2001 0.7375
O 0.4923 0.2999 0.2375
O 0.5077 0.7001 0.7625
O 0.5077 0.7999 0.2625
O 0.5216 0.1523 0.6157
O 0.5216 0.3477 0.1157
O 0.5538 0.0241 0.2094
O 0.5538 0.4759 0.7094
O 0.5566 0.5394 0.3261
O 0.5566 0.9606 0.8261
O 0.6611 0.1624 0.0398
O 0.6611 0.3376 0.5398
O 0.6895 0.7340 0.5803
O 0.6895 0.7660 0.0803
O 0.7192 0.5190 0.1028
O 0.7192 0.9810 0.6028
O 0.7846 0.1738 0.6402
O 0.7846 0.3262 0.1402
O 0.8269 0.6512 0.8550
O 0.8269 0.8488 0.3550
O 0.8777 0.6351 0.5673
O 0.8777 0.8649 0.0673
O 0.8973 0.6873 0.2171
O 0.8973 0.8127 0.7171
O 0.8990 0.0321 0.8628
O 0.8990 0.4679 0.3628
O 0.9086 0.0901 0.2007
O 0.9086 0.4099 0.7007
O 0.9161 0.0318 0.5550
O 0.9161 0.4682 0.0550
O 0.9393 0.2412 0.4855
O 0.9393 0.2588 0.9855

Output
DFT formation energy = -1198.8 meV/atom
DFT total energy = -6.454 eV/atom